Rb3Sb2Br9 | PBE-GGA | optimized geometry

Computed properties:
Excess energy over the best structure of this formula in the dataset in eV/atom: 0.011
Mass density in kg/m³: 3689
Formation energy from the elements in eV/atom: -1.497
MP2020-corrected energy in eV/atom: -3.350

abc: 8.0506 8.0506 9.7762
angles: 90.00 90.00 120.00
Space group P-3m1 (No. 164)
Inequivalent atoms, fractional coordinates:
Rb1 0.0000 0.0000 0.0000
Rb2 0.3333 0.6667 0.3302
Sb1 0.3333 0.6667 0.8120
Br1 0.0000 0.5000 0.0000
Br2 0.1722 0.3443 0.6612